No. 1
Eu2MoO6: optimized geometry, PBE with a Hubbard U.

Cell: 10.186 10.186 5.524 Å, 105.16 105.16 68.11°
Atoms (fractional coordinates):
Eu (0.054, 0.290, 0.886)
Eu (0.112, 0.888, 0.750)
Eu (0.290, 0.054, 0.386)
Eu (0.365, 0.635, 0.250)
Eu (0.635, 0.365, 0.750)
Eu (0.710, 0.946, 0.614)
Eu (0.888, 0.112, 0.250)
Eu (0.946, 0.710, 0.114)
Mo (0.204, 0.489, 0.563)
Mo (0.489, 0.204, 0.063)
Mo (0.511, 0.796, 0.937)
Mo (0.796, 0.511, 0.437)
O (0.068, 0.479, 0.265)
O (0.075, 0.106, 0.074)
O (0.106, 0.075, 0.574)
O (0.161, 0.691, 0.418)
O (0.173, 0.616, 0.863)
O (0.214, 0.320, 0.635)
O (0.309, 0.839, 0.082)
O (0.320, 0.214, 0.135)
O (0.383, 0.455, 0.517)
O (0.384, 0.827, 0.637)
O (0.455, 0.383, 0.017)
O (0.479, 0.068, 0.765)
O (0.521, 0.932, 0.235)
O (0.545, 0.617, 0.983)
O (0.616, 0.173, 0.363)
O (0.617, 0.545, 0.483)
O (0.680, 0.786, 0.865)
O (0.691, 0.161, 0.918)
O (0.786, 0.680, 0.365)
O (0.827, 0.384, 0.137)
O (0.839, 0.309, 0.582)
O (0.894, 0.925, 0.426)
O (0.925, 0.894, 0.926)
O (0.932, 0.521, 0.735)

Output
* corrected total energy (MP2020 scheme): -9.526 eV/atom
* calculated formation energy: -2.74 eV/atom

***

No. 2
FeOF: optimized geometry, PBE with a Hubbard U.

Cell: 4.802 3.075 14.372 Å, 90.00 94.51 90.00°
Atoms (fractional coordinates):
Fe (0.000, 0.000, 0.000)
Fe (0.034, 0.000, 0.668)
Fe (0.478, 0.500, 0.166)
Fe (0.517, 0.500, 0.835)
Fe (0.573, 0.500, 0.499)
Fe (0.949, 0.000, 0.332)
O (0.288, 0.000, 0.098)
O (0.323, 0.000, 0.766)
O (0.678, 0.000, 0.228)
O (0.708, 0.000, 0.900)
O (0.728, 0.000, 0.569)
O (0.809, 0.500, 0.398)
F (0.179, 0.500, 0.272)
F (0.198, 0.500, 0.935)
F (0.221, 0.500, 0.602)
F (0.317, 0.000, 0.437)
F (0.803, 0.500, 0.062)
F (0.837, 0.500, 0.732)

Output
* corrected total energy (MP2020 scheme): -7.128 eV/atom
* calculated formation energy: -2.02 eV/atom

***

No. 3
Li2Fe3CoO8: optimized geometry, PBE with a Hubbard U.

Cell: 5.984 5.984 5.103 Å, 105.93 105.93 58.95°
Atoms (fractional coordinates):
Li (0.000, 0.500, 0.000)
Li (0.500, 0.000, 0.000)
Fe (0.000, 0.000, 0.000)
Fe (0.254, 0.746, 0.500)
Fe (0.746, 0.254, 0.500)
Co (0.500, 0.500, 0.000)
O (0.107, 0.107, 0.751)
O (0.159, 0.635, 0.782)
O (0.365, 0.841, 0.218)
O (0.394, 0.394, 0.244)
O (0.606, 0.606, 0.756)
O (0.635, 0.159, 0.782)
O (0.841, 0.365, 0.218)
O (0.893, 0.893, 0.249)

Output
* corrected total energy (MP2020 scheme): -7.032 eV/atom
* calculated formation energy: -1.61 eV/atom
* ΔE to the lowest computed polymorph: 0.038 eV/atom

***

No. 4
LiCoPO4: optimized geometry, PBE with a Hubbard U.

Cell: 10.070 10.070 16.432 Å, 97.75 97.75 58.94°
Atoms (fractional coordinates):
Li (0.055, 0.179, 0.750)
Li (0.055, 0.945, 0.500)
Li (0.117, 0.444, 0.499)
Li (0.179, 0.055, 0.250)
Li (0.187, 0.553, 0.249)
Li (0.443, 0.616, 0.998)
Li (0.444, 0.117, 0.999)
Li (0.497, 0.682, 0.748)
Li (0.553, 0.187, 0.749)
Li (0.557, 0.944, 0.499)
Li (0.616, 0.443, 0.498)
Li (0.675, 0.997, 0.249)
Li (0.682, 0.497, 0.248)
Li (0.944, 0.557, 0.999)
Li (0.945, 0.055, 0.000)
Li (0.997, 0.675, 0.749)
Co (0.246, 0.876, 0.875)
Co (0.252, 0.375, 0.875)
Co (0.311, 0.988, 0.624)
Co (0.374, 0.487, 0.624)
Co (0.375, 0.252, 0.375)
Co (0.431, 0.752, 0.375)
Co (0.487, 0.374, 0.124)
Co (0.490, 0.872, 0.125)
Co (0.747, 0.931, 0.876)
Co (0.752, 0.431, 0.875)
Co (0.811, 0.989, 0.626)
Co (0.872, 0.490, 0.625)
Co (0.876, 0.246, 0.375)
Co (0.931, 0.747, 0.376)
Co (0.988, 0.311, 0.124)
Co (0.989, 0.811, 0.126)
P (0.090, 0.718, 0.938)
P (0.091, 0.220, 0.937)
P (0.154, 0.838, 0.687)
P (0.212, 0.338, 0.685)
P (0.220, 0.091, 0.437)
P (0.275, 0.591, 0.436)
P (0.338, 0.212, 0.185)
P (0.340, 0.713, 0.185)
P (0.588, 0.774, 0.936)
P (0.591, 0.275, 0.936)
P (0.655, 0.842, 0.687)
P (0.713, 0.340, 0.685)
P (0.718, 0.090, 0.438)
P (0.774, 0.588, 0.436)
P (0.838, 0.154, 0.187)
P (0.842, 0.655, 0.187)
O (0.009, 0.820, 0.675)
O (0.013, 0.337, 0.012)
O (0.016, 0.835, 0.013)
O (0.057, 0.122, 0.454)
O (0.094, 0.417, 0.611)
O (0.122, 0.057, 0.954)
O (0.123, 0.554, 0.954)
O (0.123, 0.750, 0.424)
O (0.148, 0.447, 0.765)
O (0.149, 0.949, 0.764)
O (0.160, 0.912, 0.611)
O (0.180, 0.228, 0.198)
O (0.183, 0.730, 0.200)
O (0.206, 0.247, 0.423)
O (0.228, 0.180, 0.698)
O (0.244, 0.705, 0.922)
O (0.247, 0.206, 0.923)
O (0.271, 0.516, 0.512)
O (0.282, 0.977, 0.360)
O (0.286, 0.477, 0.360)
O (0.304, 0.677, 0.699)
O (0.314, 0.372, 0.170)
O (0.314, 0.874, 0.170)
O (0.337, 0.013, 0.512)
O (0.372, 0.314, 0.670)
O (0.412, 0.596, 0.110)
O (0.415, 0.618, 0.448)
O (0.417, 0.094, 0.111)
O (0.447, 0.148, 0.265)
O (0.456, 0.647, 0.262)
O (0.472, 0.783, 0.861)
O (0.477, 0.286, 0.860)
O (0.509, 0.825, 0.676)
O (0.516, 0.271, 0.012)
O (0.518, 0.768, 0.013)
O (0.554, 0.123, 0.454)
O (0.596, 0.412, 0.610)
O (0.610, 0.917, 0.947)
O (0.618, 0.415, 0.948)
O (0.625, 0.749, 0.423)
O (0.647, 0.456, 0.762)
O (0.649, 0.958, 0.761)
O (0.664, 0.909, 0.609)
O (0.677, 0.304, 0.199)
O (0.680, 0.801, 0.201)
O (0.705, 0.244, 0.422)
O (0.730, 0.183, 0.700)
O (0.749, 0.625, 0.923)
O (0.750, 0.123, 0.924)
O (0.768, 0.518, 0.513)
O (0.780, 0.971, 0.362)
O (0.783, 0.472, 0.361)
O (0.801, 0.680, 0.701)
O (0.820, 0.009, 0.175)
O (0.825, 0.509, 0.176)
O (0.835, 0.016, 0.513)
O (0.874, 0.314, 0.670)
O (0.909, 0.664, 0.109)
O (0.912, 0.160, 0.111)
O (0.917, 0.610, 0.447)
O (0.949, 0.149, 0.264)
O (0.958, 0.649, 0.261)
O (0.971, 0.780, 0.862)
O (0.977, 0.282, 0.860)

Output
* corrected total energy (MP2020 scheme): -7.287 eV/atom
* calculated formation energy: -2.40 eV/atom
* ΔE to the lowest computed polymorph: 0.010 eV/atom

***

No. 5
Li3Mn2O5: optimized geometry, PBE with a Hubbard U.

Cell: 11.236 11.236 5.811 Å, 97.19 97.19 14.66°
Atoms (fractional coordinates):
Li (0.000, 0.000, 0.000)
Li (0.000, 0.000, 0.500)
Li (0.188, 0.188, 0.096)
Li (0.417, 0.417, 0.713)
Li (0.583, 0.583, 0.287)
Li (0.812, 0.812, 0.904)
Mn (0.195, 0.195, 0.592)
Mn (0.410, 0.410, 0.205)
Mn (0.590, 0.590, 0.795)
Mn (0.805, 0.805, 0.408)
O (0.095, 0.095, 0.567)
O (0.097, 0.097, 0.022)
O (0.300, 0.300, 0.636)
O (0.313, 0.313, 0.181)
O (0.492, 0.492, 0.244)
O (0.508, 0.508, 0.756)
O (0.687, 0.687, 0.819)
O (0.700, 0.700, 0.364)
O (0.903, 0.903, 0.978)
O (0.905, 0.905, 0.433)

Output
* corrected total energy (MP2020 scheme): -7.000 eV/atom
* calculated formation energy: -2.12 eV/atom
* ΔE to the lowest computed polymorph: 0.030 eV/atom

***

No. 6
BaAlCuWO5: optimized geometry, PBE with a Hubbard U.

Cell: 3.819 3.963 9.722 Å, 90.00 90.00 90.00°
Atoms (fractional coordinates):
Ba (0.000, 0.000, 0.000)
Al (0.000, 0.000, 0.393)
Cu (0.500, 0.500, 0.476)
W (0.500, 0.500, 0.767)
O (0.000, 0.500, 0.436)
O (0.000, 0.500, 0.762)
O (0.500, 0.000, 0.350)
O (0.500, 0.000, 0.785)
O (0.500, 0.500, 0.980)

Output
* corrected total energy (MP2020 scheme): -7.220 eV/atom
* calculated formation energy: -1.95 eV/atom
* ΔE to the lowest computed polymorph: 0.000 eV/atom

***

No. 7
Sr3MgCr2S2O5: optimized geometry, PBE with a Hubbard U.

Cell: 13.821 13.821 13.821 Å, 163.50 163.50 23.42°
Atoms (fractional coordinates):
Sr (0.000, 0.000, 0.000)
Sr (0.137, 0.137, 0.000)
Sr (0.863, 0.863, 0.000)
Mg (0.250, 0.750, 0.500)
Cr (0.429, 0.429, 0.000)
Cr (0.571, 0.571, 0.000)
S (0.307, 0.307, 0.000)
S (0.693, 0.693, 0.000)
O (0.080, 0.580, 0.500)
O (0.420, 0.920, 0.500)
O (0.500, 0.500, 0.000)
O (0.579, 0.079, 0.500)
O (0.921, 0.421, 0.500)

Output
* corrected total energy (MP2020 scheme): -6.997 eV/atom
* calculated formation energy: -2.46 eV/atom

***

No. 8
MgVFeP4O14: optimized geometry, PBE with a Hubbard U.

Cell: 5.017 6.850 8.353 Å, 90.40 90.30 109.24°
Atoms (fractional coordinates):
Mg (0.000, 0.000, 0.000)
V (0.181, 0.471, 0.877)
Fe (0.595, 0.906, 0.399)
P (0.011, 0.682, 0.200)
P (0.167, 0.100, 0.610)
P (0.616, 0.262, 0.111)
P (0.772, 0.694, 0.708)
O (0.116, 0.702, 0.025)
O (0.230, 0.685, 0.325)
O (0.277, 0.294, 0.710)
O (0.346, 0.276, 0.029)
O (0.396, 0.015, 0.559)
O (0.532, 0.080, 0.222)
O (0.562, 0.674, 0.847)
O (0.658, 0.694, 0.541)
O (0.759, 0.464, 0.216)
O (0.835, 0.243, 0.985)
O (0.863, 0.848, 0.213)
O (0.949, 0.551, 0.721)
O (0.957, 0.105, 0.480)
O (0.984, 0.931, 0.751)

Output
* corrected total energy (MP2020 scheme): -7.863 eV/atom
* calculated formation energy: -2.62 eV/atom
* ΔE to the lowest computed polymorph: 0.019 eV/atom

***

No. 9
CrHgO4: optimized geometry, PBE with a Hubbard U.

Cell: 5.414 5.414 7.249 Å, 90.00 90.00 115.30°
Atoms (fractional coordinates):
Cr (0.143, 0.857, 0.750)
Cr (0.857, 0.143, 0.250)
Hg (0.500, 0.500, 0.000)
Hg (0.500, 0.500, 0.500)
O (0.206, 0.278, 0.250)
O (0.246, 0.754, 0.565)
O (0.246, 0.754, 0.935)
O (0.278, 0.206, 0.750)
O (0.722, 0.794, 0.250)
O (0.754, 0.246, 0.065)
O (0.754, 0.246, 0.435)
O (0.794, 0.722, 0.750)

Output
* corrected total energy (MP2020 scheme): -6.257 eV/atom
* calculated formation energy: -1.30 eV/atom
* ΔE to the lowest computed polymorph: 0.000 eV/atom

***

No. 10
Mg2AgWO6: optimized geometry, PBE with a Hubbard U.

Cell: 5.226 5.376 5.631 Å, 63.38 89.73 61.31°
Atoms (fractional coordinates):
Mg (0.000, 0.000, 0.000)
Mg (0.493, 0.005, 0.488)
Ag (0.216, 0.567, 0.633)
W (0.701, 0.595, 0.097)
O (0.072, 0.472, 0.301)
O (0.308, 0.807, 0.812)
O (0.429, 0.782, 0.288)
O (0.651, 0.017, 0.829)
O (0.742, 0.177, 0.260)
O (0.884, 0.475, 0.820)

Output
* corrected total energy (MP2020 scheme): -7.021 eV/atom
* calculated formation energy: -2.15 eV/atom
* ΔE to the lowest computed polymorph: 0.000 eV/atom

***

No. 11
La3Mn4AgO12: optimized geometry, PBE with a Hubbard U.

Cell: 5.530 5.565 7.818 Å, 90.00 90.70 90.00°
Atoms (fractional coordinates):
La (0.000, 0.000, 0.000)
La (0.000, 0.001, 0.500)
La (0.500, 0.502, 0.000)
Mn (0.001, 0.501, 0.254)
Mn (0.500, 0.002, 0.255)
Mn (0.500, 0.002, 0.745)
Mn (0.999, 0.501, 0.746)
Ag (0.500, 0.502, 0.500)
O (0.000, 0.441, 0.500)
O (0.000, 0.556, 0.000)
O (0.212, 0.789, 0.269)
O (0.219, 0.222, 0.782)
O (0.269, 0.272, 0.210)
O (0.273, 0.728, 0.727)
O (0.500, 0.064, 0.500)
O (0.500, 0.947, 0.000)
O (0.727, 0.728, 0.273)
O (0.731, 0.272, 0.790)
O (0.781, 0.222, 0.218)
O (0.788, 0.789, 0.731)

Output
* corrected total energy (MP2020 scheme): -8.243 eV/atom
* calculated formation energy: -2.56 eV/atom

***

No. 12
Li5Fe3O2F10: optimized geometry, PBE with a Hubbard U.

Cell: 5.151 5.564 8.940 Å, 105.87 90.21 117.43°
Atoms (fractional coordinates):
Li (0.000, 0.000, 0.000)
Li (0.054, 0.529, 0.519)
Li (0.515, 0.265, 0.273)
Li (0.716, 0.787, 0.365)
Li (0.801, 0.328, 0.859)
Fe (0.208, 0.503, 0.128)
Fe (0.216, 0.020, 0.624)
Fe (0.538, 0.800, 0.765)
O (0.175, 0.671, 0.718)
O (0.920, 0.026, 0.800)
F (0.130, 0.139, 0.219)
F (0.307, 0.850, 0.987)
F (0.325, 0.365, 0.471)
F (0.429, 0.445, 0.918)
F (0.432, 0.945, 0.416)
F (0.603, 0.678, 0.162)
F (0.618, 0.205, 0.665)
F (0.819, 0.787, 0.564)
F (0.836, 0.296, 0.073)
F (0.957, 0.539, 0.312)

Output
* corrected total energy (MP2020 scheme): -5.255 eV/atom
* calculated formation energy: -2.06 eV/atom
* ΔE to the lowest computed polymorph: 0.633 eV/atom

***

- Which of these has the lowest calculated formation energy?
  Eu2MoO6

***

- calculated formation energy of number 7 (Sr3MgCr2S2O5)?
  -2.46 eV/atom

***

Copy entry 2 word for word.
FeOF: optimized geometry, PBE with a Hubbard U.

Cell: 4.802 3.075 14.372 Å, 90.00 94.51 90.00°
Atoms (fractional coordinates):
Fe (0.000, 0.000, 0.000)
Fe (0.034, 0.000, 0.668)
Fe (0.478, 0.500, 0.166)
Fe (0.517, 0.500, 0.835)
Fe (0.573, 0.500, 0.499)
Fe (0.949, 0.000, 0.332)
O (0.288, 0.000, 0.098)
O (0.323, 0.000, 0.766)
O (0.678, 0.000, 0.228)
O (0.708, 0.000, 0.900)
O (0.728, 0.000, 0.569)
O (0.809, 0.500, 0.398)
F (0.179, 0.500, 0.272)
F (0.198, 0.500, 0.935)
F (0.221, 0.500, 0.602)
F (0.317, 0.000, 0.437)
F (0.803, 0.500, 0.062)
F (0.837, 0.500, 0.732)

Output
* corrected total energy (MP2020 scheme): -7.128 eV/atom
* calculated formation energy: -2.02 eV/atom